# GGA-PBE TaCuN2, optimized geometry
# spin magnetization = 0.0 μB per formula unit
# total energy = -104.4 eV for the cell shown
# calculated formation energy = -0.7193 eV per atom
# E (MP2020) = -8.877 eV per atom
data_TaCuN2
_cell_length_a 3.1534
_cell_length_b 3.1534
_cell_length_c 17.5446
_cell_angle_alpha 90.00
_cell_angle_beta 90.00
_cell_angle_gamma 120.00
_symmetry_space_group_name_H-M 'R -3 m'
_symmetry_Int_Tables_number 166
_symmetry_space_group_name_Hall '-R 3 2"'
loop_
_atom_site_label
_atom_site_type_symbol
_atom_site_fract_x
_atom_site_fract_y
_atom_site_fract_z
Ta1 Ta 0.0000 0.0000 0.0000
Cu1 Cu 0.0000 0.0000 0.5000
N1 N 0.0000 0.0000 0.3941